The following is a r2SCAN calculation of a relaxed structure of USnTe, from Materials Project.

Cell: 4.2790 4.2790 9.4101 Å, 90.00 90.00 90.00°
Last column: nearest neighbours and their distance in Å.
Fractional positions:
1 Sn 0.0000 0.0000 0.0000  4 Sn 3.03, 4 U 3.35
2 Te 0.0000 0.5000 0.3715  5 U 3.16-3.33
3 Sn 0.5000 0.5000 0.0000  4 Sn 3.03, 4 U 3.35
4 U 0.0000 0.5000 0.7256  5 Te 3.16-3.33, 4 Sn 3.35
5 U 0.5000 0.0000 0.2744  5 Te 3.16-3.33, 4 Sn 3.35
6 Te 0.5000 0.0000 0.6285  5 U 3.16-3.33

Total energy   -44.13 eV/atom
E_form   -2.29 eV per formula unit